(1)
Below is a relaxed Sm3Si2S8Br crystal, with properties calculated at the PBE level.

Results
energy = -5.735 eV/atom
ΔH_f (0 K) = -173.0 kJ per mole of atoms

Cell lengths 8.7591, 8.7591, 10.8812 Å; angles 82.37, 82.37, 51.83 degrees
Closest atoms and distances in Å follow each position.
Fractional positions:
Si: 0.3060 0.3764 0.5274  4 S 2.12-2.13
S: 0.2715 0.5953 0.0423  1 Si 2.12
Si: 0.6940 0.6236 0.4726  4 S 2.12-2.13
Si: 0.3764 0.3060 0.0274  4 S 2.12-2.13
Sm: 0.9254 0.6770 0.1831  8 S 2.89-3.04
S: 0.2591 0.4472 0.3347  1 Si 2.13
S: 0.4047 0.7285 0.4577  1 Si 2.12
Sm: 0.6770 0.9254 0.6831  8 S 2.89-3.04
S: 0.3919 0.8964 0.8561  1 Si 2.12
S: 0.4472 0.2591 0.8347  1 Si 2.13
S: 0.8534 0.7140 0.9134  1 Si 2.13
Sm: 0.0746 0.3230 0.8169  8 S 2.89-3.04
S: 0.7140 0.8534 0.4134  1 Si 2.13
S: 0.5953 0.2715 0.5423  1 Si 2.12
Sm: 0.3814 0.6186 0.7500  4 S 2.87-2.88, 1 Br 2.97
S: 0.1466 0.2860 0.0866  1 Si 2.13
S: 0.1036 0.6081 0.6439  1 Si 2.12
Sm: 0.3230 0.0746 0.3169  8 S 2.89-3.04
Si: 0.6236 0.6940 0.9726  4 S 2.12-2.13
S: 0.7285 0.4047 0.9577  1 Si 2.12
S: 0.8964 0.3919 0.3561  1 Si 2.12
Sm: 0.6186 0.3814 0.2500  4 S 2.87-2.88, 1 Br 2.97
S: 0.2860 0.1466 0.5866  1 Si 2.13
S: 0.5528 0.7409 0.1653  1 Si 2.13
Br: 0.0063 0.9937 0.2500  1 Sm 2.97, 2 S 3.32
S: 0.6081 0.1036 0.1439  1 Si 2.12
S: 0.7409 0.5528 0.6653  1 Si 2.13
Br: 0.9937 0.0063 0.7500  1 Sm 2.97, 2 S 3.32

(2)
Below is a relaxed Pr3SbO7 crystal, with properties calculated at the PBE level.

Results
energy = -7.660 eV/atom
ΔH_f (0 K) = -315.5 kJ per mole of atoms

Cell lengths 6.7333, 6.7333, 7.7766 Å; angles 90.00, 90.00, 110.54 degrees
Closest atoms and distances in Å follow each position.
Fractional positions:
O: 0.8484 0.1121 0.7500  4 Pr 2.34-2.44
Pr: 0.0000 0.0000 0.5000  4 O 2.44
O: 0.5794 0.5794 0.7500  2 Sb 2.04
Sb: 0.5000 0.5000 0.5000  6 O 2.01-2.04
O: 0.5600 0.8116 0.0331  1 Sb 2.01
Pr: 0.0647 0.5186 0.2500  6 O 2.34-2.48
O: 0.4400 0.1884 0.5331  1 Sb 2.01
Pr: 0.4814 0.9353 0.7500  6 O 2.34-2.48
O: 0.1884 0.4400 0.9669  1 Sb 2.01
O: 0.1121 0.8484 0.7500  4 Pr 2.34-2.44
O: 0.4206 0.4206 0.2500  2 Sb 2.04
Pr: 0.0000 0.0000 0.0000  4 O 2.44
O: 0.1884 0.4400 0.5331  1 Sb 2.01
O: 0.1516 0.8879 0.2500  4 Pr 2.34-2.44
O: 0.8116 0.5600 0.0331  1 Sb 2.01
O: 0.8116 0.5600 0.4669  1 Sb 2.01
Pr: 0.9353 0.4814 0.7500  6 O 2.34-2.48
O: 0.4400 0.1884 0.9669  1 Sb 2.01
O: 0.5600 0.8116 0.4669  1 Sb 2.01
Pr: 0.5186 0.0647 0.2500  6 O 2.34-2.48
O: 0.8879 0.1516 0.2500  4 Pr 2.34-2.44
Sb: 0.5000 0.5000 0.0000  6 O 2.01-2.04

(3)
Below is a relaxed Dy2InPd2 crystal, with properties calculated at the PBE level.

Results
energy = -5.340 eV/atom
ΔH_f (0 K) = -84.4 kJ per mole of atoms

Cell lengths 7.7322, 7.7322, 3.7276 Å; angles 90.00, 90.00, 90.00 degrees
Closest atoms and distances in Å follow each position.
Fractional positions:
Pd: 0.8718 0.3718 0.0000  1 Pd 2.80, 6 Dy 2.86-3.01, 2 In 3.04
Pd: 0.1282 0.6282 0.0000  1 Pd 2.80, 6 Dy 2.86-3.01, 2 In 3.04
In: 0.0000 0.0000 0.0000  4 Pd 3.04
Dy: 0.8267 0.6733 0.5000  6 Pd 2.86-3.01
Pd: 0.3718 0.1282 0.0000  1 Pd 2.80, 6 Dy 2.86-3.01, 2 In 3.04
Dy: 0.3267 0.8267 0.5000  6 Pd 2.86-3.01
Dy: 0.1733 0.3267 0.5000  6 Pd 2.86-3.01
Pd: 0.6282 0.8718 0.0000  1 Pd 2.80, 6 Dy 2.86-3.01, 2 In 3.04
In: 0.5000 0.5000 0.0000  4 Pd 3.04
Dy: 0.6733 0.1733 0.5000  6 Pd 2.86-3.01

(4)
Below is a relaxed Ag2Se crystal, with properties calculated at the PBE level.

Results
energy = -3.114 eV/atom
total moment = 0.000 μB per cell
ΔH_f (0 K) = -21.0 kJ per mole of atoms

Cell lengths 4.9704, 7.1468, 7.7743 Å; angles 90.00, 90.00, 90.00 degrees
Closest atoms and distances in Å follow each position.
Fractional positions:
Ag: 0.7500 0.7421 0.0262  2 Se 2.56-2.58
Se: 0.2500 0.4849 0.7165  5 Ag 2.56-2.87
Ag: 0.2500 0.8862 0.7109  3 Se 2.64-2.87
Ag: 0.7500 0.1138 0.2891  3 Se 2.64-2.87
Ag: 0.2500 0.2421 0.4738  2 Se 2.56-2.58
Ag: 0.7500 0.3862 0.7891  3 Se 2.64-2.87
Ag: 0.7500 0.7579 0.5262  2 Se 2.56-2.58
Ag: 0.2500 0.2579 0.9738  2 Se 2.56-2.58
Se: 0.7500 0.5151 0.2835  5 Ag 2.56-2.87
Se: 0.7500 0.9849 0.7835  5 Ag 2.56-2.87
Se: 0.2500 0.0151 0.2165  5 Ag 2.56-2.87
Ag: 0.2500 0.6138 0.2109  3 Se 2.64-2.87

(5)
Below is a relaxed LiRh3 crystal, with properties calculated at the PBE level.

Results
energy = -6.137 eV/atom
ΔH_f (0 K) = -13.1 kJ per mole of atoms

Cell lengths 5.1176, 5.1176, 5.1176 Å; angles 149.43, 125.52, 63.76 degrees
Closest atoms and distances in Å follow each position.
Fractional positions:
Rh: 0.4945 0.5000 0.9945  8 Rh 2.66-2.70, 4 Li 2.66-2.74
Rh: 0.0645 0.7556 0.3089  3 Li 2.61-2.73, 9 Rh 2.66-2.70
Rh: 0.5532 0.2444 0.3089  3 Li 2.61-2.73, 9 Rh 2.66-2.70
Li: 0.9847 0.0000 0.9847  10 Rh 2.61-2.74, 2 Li 2.70

(6)
Below is a relaxed Li6CuF8 crystal, with properties calculated at the PBE level.

Results
relative energy among the computed polymorphs = 0 meV/atom
energy = -4.669 eV/atom
total moment = 1.000 μB per cell
ΔH_f (0 K) = -275.7 kJ per mole of atoms

Cell lengths 5.8666, 5.8666, 5.8666 Å; angles 60.00, 60.00, 60.00 degrees
Closest atoms and distances in Å follow each position.
Fractional positions:
Li: 0.0000 0.5000 0.5000  6 F 2.07
Li: 0.5000 0.5000 0.0000  6 F 2.07
F: 0.7570 0.7570 0.2430  1 Cu 2.02, 4 Li 2.07
Li: 0.0000 0.0000 0.5000  6 F 2.07
F: 0.2500 0.2500 0.2500  6 Li 2.07
F: 0.2430 0.7570 0.7570  1 Cu 2.02, 4 Li 2.07
Cu: 0.0000 0.0000 0.0000  6 F 2.02
F: 0.7570 0.2430 0.7570  1 Cu 2.02, 4 Li 2.07
F: 0.2430 0.7570 0.2430  1 Cu 2.02, 4 Li 2.07
Li: 0.0000 0.5000 0.0000  6 F 2.07
Li: 0.5000 0.0000 0.0000  6 F 2.07
Li: 0.5000 0.0000 0.5000  6 F 2.07
F: 0.7500 0.7500 0.7500  6 Li 2.07
F: 0.7570 0.2430 0.2430  1 Cu 2.02, 4 Li 2.07
F: 0.2430 0.2430 0.7570  1 Cu 2.02, 4 Li 2.07

(7)
Below is a relaxed CaUPb2O6 crystal, with properties calculated at the PBE level.

Results
energy = -7.405 eV/atom
total moment = 0.000 μB per cell
ΔH_f (0 K) = -267.9 kJ per mole of atoms

Cell lengths 6.2399, 5.9572, 8.6967 Å; angles 90.07, 90.00, 90.00 degrees
Closest atoms and distances in Å follow each position.
Fractional positions:
O: 0.2287 0.1744 0.9460  1 U 2.04
U: 0.5000 0.0000 0.0000  6 O 2.04-2.16
Ca: 0.0000 0.5000 0.0000  6 O 2.36-2.45
O: 0.3293 0.6931 0.0252  1 U 2.13, 1 Ca 2.36
O: 0.8293 0.8069 0.4748  1 U 2.13, 1 Ca 2.36
Pb: 0.4544 0.5106 0.7705  4 O 2.43-2.60
Ca: 0.5000 0.0000 0.5000  6 O 2.36-2.45
Pb: 0.9544 0.9894 0.7295  4 O 2.43-2.60
O: 0.7287 0.3256 0.5540  1 U 2.04
O: 0.5470 0.9072 0.7624  1 U 2.16, 1 Ca 2.37
O: 0.1707 0.1931 0.5252  1 U 2.13, 1 Ca 2.36
O: 0.0470 0.5928 0.7376  1 U 2.16, 1 Ca 2.37
O: 0.9530 0.4072 0.2624  1 U 2.16, 1 Ca 2.37
Pb: 0.0456 0.0106 0.2705  4 O 2.43-2.60
Pb: 0.5456 0.4894 0.2295  4 O 2.43-2.60
O: 0.7713 0.8256 0.0540  1 U 2.04
U: 0.0000 0.5000 0.5000  6 O 2.04-2.16
O: 0.4530 0.0928 0.2376  1 U 2.16, 1 Ca 2.37
O: 0.2713 0.6744 0.4460  1 U 2.04
O: 0.6707 0.3069 0.9748  1 U 2.13, 1 Ca 2.36

(8)
Below is a relaxed NaIrPb crystal, with properties calculated at the PBE level.

Results
energy = -3.751 eV/atom
total moment = 0.000 μB per cell
ΔH_f (0 K) = 84.2 kJ per mole of atoms

Cell lengths 4.5900, 4.5900, 4.5900 Å; angles 60.00, 60.00, 60.00 degrees
Closest atoms and distances in Å follow each position.
Fractional positions:
Pb: 0.0000 0.0000 0.0000  4 Na 2.81
Ir: 0.5000 0.5000 0.5000  4 Na 2.81
Na: 0.2500 0.2500 0.2500  4 Ir 2.81, 4 Pb 2.81

(9)
Below is a relaxed YU2S3O2 crystal, with properties calculated at the PBE level.

Results
energy = -8.749 eV/atom
total moment = 4.823 μB per cell
ΔH_f (0 K) = -259.6 kJ per mole of atoms

Cell lengths 10.9523, 10.9523, 10.9523 Å; angles 159.95, 159.95, 28.51 degrees
Closest atoms and distances in Å follow each position.
Fractional positions:
U: 0.6869 0.6869 0.0000  4 O 2.33
Y: 0.0000 0.0000 0.0000  6 S 2.70-2.74
S: 0.5000 0.5000 0.0000  4 Y 2.70
S: 0.8712 0.8712 0.0000  1 Y 2.74, 4 U 2.97
O: 0.2500 0.7500 0.5000  4 U 2.33
O: 0.7500 0.2500 0.5000  4 U 2.33
U: 0.3130 0.3130 0.0000  4 O 2.33
S: 0.1288 0.1288 0.0000  1 Y 2.74, 4 U 2.97

(10)
Below is a relaxed Ba4Y2O7 crystal, with properties calculated at the PBE level.

Results
energy = -7.053 eV/atom
total moment = 0.011 μB per cell
ΔH_f (0 K) = -306.2 kJ per mole of atoms

Cell lengths 11.2669, 7.5801, 18.9792 Å; angles 87.18, 90.00, 90.00 degrees
Closest atoms and distances in Å follow each position.
Fractional positions:
O: 0.3045 0.2354 0.8419  1 Y 2.10
Y: 0.4295 0.3275 0.9133  4 O 2.10-2.20
Ba: 0.6045 0.1516 0.0927  5 O 2.73-2.94
O: 0.3328 0.1960 0.4920  1 Y 2.24
Ba: 0.8955 0.6516 0.0927  5 O 2.73-2.94
O: 0.8328 0.3040 0.5080  1 Y 2.24
Y: 0.9295 0.1725 0.0867  4 O 2.10-2.20
Ba: 0.0686 0.3252 0.5801  3 O 2.61-2.82
Y: 0.9230 0.1814 0.4172  4 O 2.16-2.24
Ba: 0.9306 0.6719 0.7501  3 O 2.60-2.69
O: 0.4909 0.4637 0.3323  1 Y 2.23
O: 0.8045 0.2646 0.1581  1 Y 2.10
Ba: 0.9314 0.6748 0.4199  3 O 2.61-2.82
O: 0.4806 0.4461 0.1405  2 Y 2.18-2.20
Ba: 0.5694 0.1719 0.7501  3 O 2.60-2.69
Ba: 0.7496 0.4168 0.9124  4 O 2.57-2.86
O: 0.4459 0.8826 0.7664  1 Y 2.11
O: 0.5000 0.5000 0.5000  2 Y 2.21
O: 0.0194 0.9461 0.1405  2 Y 2.18-2.20
Ba: 0.1045 0.3484 0.9073  5 O 2.73-2.94
Ba: 0.7173 0.5102 0.5845  4 O 2.54-2.84
O: 0.5194 0.5539 0.8595  2 Y 2.18-2.20
O: 0.7321 0.7118 0.3510  1 Y 2.16
O: 0.0091 0.9637 0.3323  1 Y 2.23
O: 0.7291 0.8563 0.7656  1 Y 2.19
O: 0.0591 0.3800 0.0829  1 Y 2.15
Y: 0.5705 0.6725 0.0867  4 O 2.10-2.20
O: 0.4383 0.8709 0.3888  1 Y 2.17
O: 0.2679 0.2882 0.6490  1 Y 2.16
Ba: 0.7827 0.0102 0.5845  4 O 2.54-2.84
Y: 0.0770 0.8186 0.5828  4 O 2.16-2.24
Ba: 0.2504 0.5832 0.0876  4 O 2.57-2.86
Ba: 0.0694 0.3281 0.2499  3 O 2.60-2.69
Ba: 0.7504 0.9168 0.9124  4 O 2.57-2.86
O: 0.4409 0.8800 0.0829  1 Y 2.15
Ba: 0.3955 0.8484 0.9073  5 O 2.73-2.94
O: 0.5541 0.1174 0.2336  1 Y 2.11
Ba: 0.2242 0.0304 0.7420  5 O 2.61-2.88
Ba: 0.4314 0.8252 0.5801  3 O 2.61-2.82
O: 0.0541 0.3826 0.7664  1 Y 2.11
O: 0.3118 0.3496 0.0010  1 Y 2.14
O: 0.9409 0.6200 0.9171  1 Y 2.15
Ba: 0.5686 0.1748 0.4199  3 O 2.61-2.82
O: 0.1955 0.7354 0.8419  1 Y 2.10
O: 0.2291 0.6437 0.2344  1 Y 2.19
Y: 0.0747 0.8182 0.2407  4 O 2.11-2.23
O: 0.2321 0.7882 0.6490  1 Y 2.16
O: 0.6955 0.7646 0.1581  1 Y 2.10
O: 0.6882 0.6504 0.9990  1 Y 2.14
Ba: 0.7758 0.9696 0.2580  5 O 2.61-2.88
O: 0.0000 0.0000 0.5000  2 Y 2.21
O: 0.9806 0.0539 0.8595  2 Y 2.18-2.20
O: 0.9383 0.6291 0.6112  1 Y 2.17
O: 0.5091 0.5363 0.6677  1 Y 2.23
O: 0.5617 0.1291 0.6112  1 Y 2.17
O: 0.0617 0.3709 0.3888  1 Y 2.17
Ba: 0.2758 0.5304 0.7420  5 O 2.61-2.88
O: 0.8118 0.1504 0.9990  1 Y 2.14
Ba: 0.2827 0.4898 0.4155  4 O 2.54-2.84
Y: 0.5770 0.6814 0.4172  4 O 2.16-2.24
Y: 0.4253 0.3182 0.2407  4 O 2.11-2.23
O: 0.7679 0.2118 0.3510  1 Y 2.16
O: 0.7709 0.3563 0.7656  1 Y 2.19
Y: 0.9253 0.1818 0.7593  4 O 2.11-2.23
Ba: 0.4306 0.8281 0.2499  3 O 2.60-2.69
Y: 0.5747 0.6818 0.7593  4 O 2.11-2.23
O: 0.1882 0.8496 0.0010  1 Y 2.14
O: 0.9909 0.0363 0.6677  1 Y 2.23
Y: 0.4230 0.3186 0.5828  4 O 2.16-2.24
O: 0.6672 0.8040 0.5080  1 Y 2.24
O: 0.5591 0.1200 0.9171  1 Y 2.15
O: 0.2709 0.1437 0.2344  1 Y 2.19
Y: 0.0705 0.8275 0.9133  4 O 2.10-2.20
O: 0.1672 0.6960 0.4920  1 Y 2.24
Ba: 0.7242 0.4696 0.2580  5 O 2.61-2.88
O: 0.9459 0.6174 0.2336  1 Y 2.11
Ba: 0.2496 0.0832 0.0876  4 O 2.57-2.86
Ba: 0.2173 0.9898 0.4155  4 O 2.54-2.84

(11)
Below is a relaxed SmSn3Ru crystal, with properties calculated at the PBE level.

Results
energy = -5.670 eV/atom
ΔH_f (0 K) = -44.9 kJ per mole of atoms

Cell lengths 9.7923, 9.7923, 9.7923 Å; angles 90.00, 90.00, 90.00 degrees
Closest atoms and distances in Å follow each position.
Fractional positions:
Sn: 0.1872 0.6560 0.5000  2 Ru 2.69
Sn: 0.1560 0.6872 0.0000  2 Ru 2.69
Sn: 0.3440 0.5000 0.8128  2 Ru 2.69
Sm: 0.7500 0.0000 0.5000  12 Sn 3.42, 4 Ru 3.46
Sn: 0.8128 0.6560 0.5000  2 Ru 2.69
Ru: 0.2500 0.2500 0.2500  6 Sn 2.69
Sn: 0.3440 0.5000 0.1872  2 Ru 2.69
Sn: 0.6560 0.5000 0.8128  2 Ru 2.69
Sn: 0.0000 0.8440 0.3128  2 Ru 2.69
Sn: 0.5000 0.1872 0.3440  2 Ru 2.69
Ru: 0.7500 0.2500 0.2500  6 Sn 2.69
Sm: 0.2500 0.0000 0.5000  12 Sn 3.42, 4 Ru 3.46
Ru: 0.7500 0.7500 0.7500  6 Sn 2.69
Sn: 0.0000 0.1560 0.6872  2 Ru 2.69
Sn: 0.5000 0.8128 0.3440  2 Ru 2.69
Sm: 0.0000 0.0000 0.0000  12 Sn 3.42
Ru: 0.2500 0.2500 0.7500  6 Sn 2.69
Sm: 0.0000 0.5000 0.7500  12 Sn 3.42, 4 Ru 3.46
Sn: 0.5000 0.1872 0.6560  2 Ru 2.69
Sm: 0.5000 0.5000 0.5000  12 Sn 3.42
Sn: 0.1872 0.3440 0.5000  2 Ru 2.69
Sn: 0.8440 0.3128 0.0000  2 Ru 2.69
Ru: 0.7500 0.2500 0.7500  6 Sn 2.69
Sn: 0.0000 0.8440 0.6872  2 Ru 2.69
Sn: 0.8440 0.6872 0.0000  2 Ru 2.69
Sm: 0.5000 0.2500 0.0000  12 Sn 3.42, 4 Ru 3.46
Sn: 0.8128 0.3440 0.5000  2 Ru 2.69
Sn: 0.6560 0.5000 0.1872  2 Ru 2.69
Sn: 0.3128 0.0000 0.1560  2 Ru 2.69
Sn: 0.5000 0.8128 0.6560  2 Ru 2.69
Sm: 0.0000 0.5000 0.2500  12 Sn 3.42, 4 Ru 3.46
Ru: 0.7500 0.7500 0.2500  6 Sn 2.69
Sn: 0.6872 0.0000 0.1560  2 Ru 2.69
Ru: 0.2500 0.7500 0.2500  6 Sn 2.69
Sn: 0.6872 0.0000 0.8440  2 Ru 2.69
Sn: 0.0000 0.1560 0.3128  2 Ru 2.69
Ru: 0.2500 0.7500 0.7500  6 Sn 2.69
Sm: 0.5000 0.7500 0.0000  12 Sn 3.42, 4 Ru 3.46
Sn: 0.1560 0.3128 0.0000  2 Ru 2.69
Sn: 0.3128 0.0000 0.8440  2 Ru 2.69

(12)
Below is a relaxed ReHgO4 crystal, with properties calculated at the PBE level.

Results
energy = -6.725 eV/atom
ΔH_f (0 K) = -169.8 kJ per mole of atoms

Cell lengths 5.2028, 5.8251, 15.6033 Å; angles 69.70, 90.00, 90.00 degrees
Closest atoms and distances in Å follow each position.
Fractional positions:
O: 0.4867 0.7180 0.5829  1 Re 1.75
Re: 0.1422 0.8589 0.1560  4 O 1.75-1.78
Hg: 0.1727 0.6050 0.4380  2 O 2.28-2.56
O: 0.4835 0.1588 0.6309  1 Re 1.78
Re: 0.6422 0.1411 0.3440  4 O 1.75-1.78
Hg: 0.6727 0.3950 0.0620  2 O 2.28-2.56
Hg: 0.3273 0.6050 0.9380  2 O 2.28-2.56
O: 0.9835 0.8412 0.8691  1 Re 1.78
O: 0.4264 0.6815 0.7697  1 Re 1.75
O: 0.5261 0.1111 0.8615  1 Re 1.75
Re: 0.8578 0.1411 0.8440  4 O 1.75-1.78
O: 0.9739 0.1111 0.3615  1 Re 1.75
O: 0.5133 0.2820 0.4171  1 Re 1.75
Hg: 0.8273 0.3950 0.5620  2 O 2.28-2.56
Re: 0.3578 0.8589 0.6560  4 O 1.75-1.78
O: 0.9264 0.3185 0.7303  1 Re 1.75
O: 0.0133 0.7180 0.0829  1 Re 1.75
O: 0.5736 0.3185 0.2303  1 Re 1.75
O: 0.9867 0.2820 0.9171  1 Re 1.75
O: 0.4739 0.8889 0.1385  1 Re 1.75
O: 0.0261 0.8889 0.6385  1 Re 1.75
O: 0.0736 0.6815 0.2697  1 Re 1.75
O: 0.0165 0.1588 0.1309  1 Re 1.78
O: 0.5165 0.8412 0.3691  1 Re 1.78